#P
SrCaTiMnO6, optimized geometry, DFT PBE+U; space group = Cm, No. 8; M_tot = 0.3017 μB per atom
1.0
-5.8298 0.3853 -5.0939
4.9059 -1.7343 -5.7452
-1.4251 -7.5435 1.0602
Sr Ca Ti Mn O
4 4 4 4 24
direct
0.7532 0.2464 0.2466 Sr
0.2467 0.2467 0.2465 Sr
0.2464 0.7532 0.2466 Sr
0.7536 0.7536 0.7536 Sr
0.7544 0.2460 0.7540 Ca
0.2456 0.2456 0.7540 Ca
0.7541 0.7541 0.2461 Ca
0.2460 0.7544 0.7540 Ca
0.5000 0.0000 0.5028 Ti
0.5001 0.5001 0.9983 Ti
0.0000 0.5000 0.5028 Ti
0.5000 0.5000 0.5015 Ti
0.9999 0.9999 0.9989 Mn
0.5000 0.0000 0.9991 Mn
0.0000 0.0000 0.5018 Mn
0.0000 0.5000 0.9991 Mn
0.0000 0.2504 0.9932 O
0.5000 0.2469 0.9953 O
0.0000 0.2469 0.5046 O
0.5000 0.2492 0.5038 O
0.0001 0.7497 0.9992 O
0.4999 0.7531 0.9988 O
0.0001 0.7531 0.5011 O
0.4999 0.7508 0.5012 O
0.9970 0.9970 0.2503 O
0.5018 0.9982 0.2470 O
0.0029 0.0029 0.7496 O
0.4984 0.0017 0.7532 O
0.9982 0.5018 0.2470 O
0.5013 0.5013 0.2490 O
0.0017 0.4984 0.7532 O
0.4988 0.4988 0.7507 O
0.7497 0.0001 0.9992 O
0.2504 0.0000 0.9932 O
0.7531 0.0001 0.5011 O
0.2469 0.0000 0.5046 O
0.7531 0.4999 0.9988 O
0.2469 0.5000 0.9953 O
0.7508 0.4999 0.5012 O
0.2492 0.5000 0.5038 O

#Q
SrCaTiMnO6, optimized geometry, DFT PBE+U; space group = P2_1, No. 4; M_tot = 0.0000 μB per atom
1.0
0.0000 -5.4539 0.0000
-5.4682 0.0000 0.0028
0.0027 0.0000 -7.7036
Sr Ca Ti Mn O
2 2 2 2 12
direct
0.9878 0.5037 0.7495 Sr
0.4878 0.9963 0.7505 Sr
0.0185 0.4971 0.2503 Ca
0.5185 0.0029 0.2497 Ca
0.5001 0.5019 0.0049 Ti
0.0001 0.9981 0.4950 Ti
0.0000 0.9988 0.0039 Mn
0.5000 0.5010 0.4960 Mn
0.5019 0.4553 0.7472 O
0.0019 0.0448 0.7528 O
0.4911 0.5629 0.2528 O
0.9911 0.9371 0.2473 O
0.2283 0.7335 0.9793 O
0.7283 0.7665 0.5207 O
0.7672 0.2733 0.4646 O
0.2672 0.2267 0.0354 O
0.7717 0.2662 0.0359 O
0.2717 0.2339 0.4641 O
0.2334 0.7290 0.5205 O
0.7334 0.7710 0.9795 O

#R
SrCaTiMnO6, optimized geometry, DFT PBE+U; M_tot = 0.0000 μB per atom
1.0
-2.7348 -2.7350 -3.8678
-2.6912 8.1903 -3.8883
8.1866 -2.6914 -3.8860
Sr Ca Ti Mn O
4 4 4 4 24
direct
0.5000 0.6236 0.3721 Sr
0.9999 0.8783 0.6259 Sr
0.5000 0.1236 0.8722 Sr
0.0000 0.3783 0.1258 Sr
0.5000 0.8754 0.1316 Ca
0.0000 0.1189 0.3741 Ca
0.4999 0.3754 0.6317 Ca
0.0000 0.6189 0.8742 Ca
0.0000 0.9948 0.0025 Ti
0.5000 0.2477 0.2552 Ti
0.0000 0.4947 0.5025 Ti
0.5000 0.7477 0.7553 Ti
0.0000 0.7500 0.2484 Mn
0.5001 0.0019 0.5002 Mn
0.0000 0.2499 0.7482 Mn
0.4999 0.5019 0.9999 Mn
0.0000 0.6539 0.3976 O
0.4999 0.8520 0.5959 O
0.0000 0.1539 0.8975 O
0.5000 0.3521 0.0958 O
0.0000 0.8384 0.0915 O
0.5000 0.1584 0.4118 O
0.0003 0.3383 0.5914 O
0.5002 0.6585 0.9119 O
0.2497 0.8869 0.8614 O
0.7500 0.1066 0.1423 O
0.2496 0.3870 0.3614 O
0.7501 0.6066 0.6423 O
0.2500 0.1066 0.1423 O
0.7504 0.3870 0.3614 O
0.2501 0.6062 0.6428 O
0.7502 0.8869 0.8614 O
0.2503 0.6112 0.1402 O
0.7502 0.8988 0.3526 O
0.2504 0.1111 0.6402 O
0.7502 0.3988 0.8527 O
0.2498 0.8988 0.3527 O
0.7495 0.1112 0.6403 O
0.2497 0.3988 0.8527 O
0.7496 0.6111 0.1402 O

#Q comes first in stability; the runner-up is 0.016 eV/atom higher.